No. 1
DFT (PBE) results for Na10Zr8Si9S3O48 after structural relaxation.

abc: 9.190 15.912 23.182
angles: 90.05 90.04 90.07
Atoms (fractional coordinates):
Na (0.000, 0.000, 0.000)
Na (0.002, 0.338, 0.664)
Na (0.010, 0.303, 0.330)
Na (0.013, 0.969, 0.663)
Na (0.133, 0.138, 0.497)
Na (0.134, 0.803, 0.830)
Na (0.139, 0.472, 0.167)
Na (0.143, 0.836, 0.165)
Na (0.184, 0.156, 0.169)
Na (0.307, 0.648, 0.916)
Na (0.321, 0.643, 0.417)
Na (0.322, 0.319, 0.251)
Na (0.322, 0.974, 0.582)
Na (0.327, 0.314, 0.749)
Na (0.334, 0.981, 0.081)
Na (0.499, 0.500, 0.000)
Na (0.503, 0.473, 0.666)
Na (0.509, 0.803, 0.330)
Na (0.626, 0.638, 0.497)
Na (0.632, 0.305, 0.831)
Na (0.639, 0.972, 0.167)
Na (0.643, 0.336, 0.165)
Na (0.683, 0.656, 0.169)
Na (0.805, 0.148, 0.919)
Na (0.814, 0.814, 0.752)
Na (0.819, 0.142, 0.415)
Na (0.821, 0.478, 0.582)
Na (0.822, 0.819, 0.252)
Na (0.834, 0.481, 0.082)
Na (0.963, 0.657, 0.670)
Zr (0.309, 0.657, 0.065)
Zr (0.312, 0.328, 0.398)
Zr (0.313, 0.993, 0.732)
Zr (0.321, 0.648, 0.768)
Zr (0.322, 0.988, 0.437)
Zr (0.323, 0.326, 0.102)
Zr (0.323, 0.326, 0.604)
Zr (0.324, 0.647, 0.269)
Zr (0.325, 0.656, 0.566)
Zr (0.326, 0.994, 0.232)
Zr (0.329, 0.991, 0.936)
Zr (0.334, 0.326, 0.897)
Zr (0.809, 0.157, 0.065)
Zr (0.810, 0.828, 0.398)
Zr (0.814, 0.495, 0.730)
Zr (0.818, 0.824, 0.601)
Zr (0.822, 0.154, 0.771)
Zr (0.822, 0.489, 0.437)
Zr (0.823, 0.826, 0.102)
Zr (0.824, 0.147, 0.269)
Zr (0.826, 0.494, 0.232)
Zr (0.828, 0.492, 0.936)
Zr (0.831, 0.159, 0.563)
Zr (0.833, 0.826, 0.898)
Si (0.028, 0.325, 0.501)
Si (0.029, 0.991, 0.835)
Si (0.030, 0.656, 0.168)
Si (0.114, 0.156, 0.667)
Si (0.114, 0.491, 0.334)
Si (0.120, 0.822, 0.000)
Si (0.173, 0.469, 0.001)
Si (0.173, 0.509, 0.666)
Si (0.175, 0.137, 0.335)
Si (0.179, 0.802, 0.668)
Si (0.466, 0.800, 0.169)
Si (0.468, 0.136, 0.833)
Si (0.469, 0.470, 0.501)
Si (0.470, 0.509, 0.164)
Si (0.524, 0.823, 0.500)
Si (0.529, 0.492, 0.835)
Si (0.530, 0.156, 0.168)
Si (0.613, 0.659, 0.667)
Si (0.614, 0.991, 0.334)
Si (0.621, 0.322, 0.000)
Si (0.673, 0.969, 0.001)
Si (0.674, 0.300, 0.669)
Si (0.675, 0.637, 0.335)
Si (0.966, 0.300, 0.169)
Si (0.969, 0.969, 0.502)
Si (0.970, 0.009, 0.164)
Si (0.970, 0.637, 0.833)
S (0.174, 0.842, 0.333)
S (0.175, 0.176, 0.000)
S (0.468, 0.177, 0.500)
S (0.468, 0.844, 0.833)
S (0.674, 0.010, 0.667)
S (0.674, 0.342, 0.333)
S (0.675, 0.676, 0.000)
S (0.968, 0.677, 0.500)
S (0.969, 0.343, 0.833)
O (0.002, 0.168, 0.721)
O (0.003, 0.497, 0.389)
O (0.013, 0.137, 0.609)
O (0.013, 0.835, 0.057)
O (0.015, 0.165, 0.004)
O (0.015, 0.472, 0.276)
O (0.015, 0.810, 0.943)
O (0.015, 0.831, 0.340)
O (0.126, 0.331, 0.841)
O (0.126, 0.666, 0.504)
O (0.130, 0.332, 0.558)
O (0.131, 0.306, 0.444)
O (0.131, 0.636, 0.112)
O (0.132, 0.000, 0.892)
O (0.132, 0.973, 0.778)
O (0.136, 0.675, 0.223)
O (0.144, 0.309, 0.161)
O (0.145, 0.986, 0.496)
O (0.145, 0.996, 0.174)
O (0.146, 0.653, 0.830)
O (0.198, 0.570, 0.611)
O (0.200, 0.744, 0.726)
O (0.200, 0.892, 0.280)
O (0.204, 0.414, 0.060)
O (0.208, 0.079, 0.392)
O (0.209, 0.227, 0.949)
O (0.210, 0.911, 0.995)
O (0.211, 0.069, 0.673)
O (0.211, 0.241, 0.661)
O (0.213, 0.404, 0.339)
O (0.215, 0.574, 0.330)
O (0.223, 0.739, 0.005)
O (0.235, 0.214, 0.054)
O (0.238, 0.090, 0.277)
O (0.240, 0.885, 0.384)
O (0.241, 0.090, 0.996)
O (0.245, 0.754, 0.612)
O (0.247, 0.417, 0.947)
O (0.248, 0.897, 0.673)
O (0.249, 0.416, 0.661)
O (0.249, 0.760, 0.330)
O (0.251, 0.230, 0.339)
O (0.253, 0.551, 0.722)
O (0.263, 0.558, 0.004)
O (0.388, 0.754, 0.114)
O (0.389, 0.552, 0.219)
O (0.391, 0.894, 0.174)
O (0.393, 0.229, 0.839)
O (0.393, 0.761, 0.829)
O (0.394, 0.093, 0.495)
O (0.394, 0.415, 0.161)
O (0.395, 0.563, 0.504)
O (0.401, 0.216, 0.552)
O (0.402, 0.885, 0.885)
O (0.403, 0.087, 0.777)
O (0.403, 0.418, 0.446)
O (0.422, 0.237, 0.160)
O (0.423, 0.906, 0.494)
O (0.427, 0.072, 0.174)
O (0.428, 0.575, 0.830)
O (0.428, 0.736, 0.505)
O (0.430, 0.404, 0.839)
O (0.435, 0.076, 0.890)
O (0.440, 0.413, 0.559)
O (0.441, 0.227, 0.448)
O (0.441, 0.895, 0.782)
O (0.443, 0.744, 0.227)
O (0.448, 0.567, 0.107)
O (0.498, 0.652, 0.330)
O (0.498, 0.980, 0.995)
O (0.500, 0.315, 0.662)
O (0.503, 0.997, 0.388)
O (0.509, 0.671, 0.723)
O (0.513, 0.334, 0.057)
O (0.515, 0.665, 0.004)
O (0.515, 0.972, 0.276)
O (0.516, 0.309, 0.943)
O (0.516, 0.331, 0.340)
O (0.516, 0.639, 0.609)
O (0.517, 0.997, 0.673)
O (0.626, 0.165, 0.507)
O (0.626, 0.833, 0.840)
O (0.628, 0.806, 0.443)
O (0.631, 0.136, 0.112)
O (0.632, 0.472, 0.778)
O (0.633, 0.498, 0.892)
O (0.636, 0.175, 0.223)
O (0.637, 0.832, 0.555)
O (0.644, 0.809, 0.161)
O (0.645, 0.152, 0.829)
O (0.645, 0.496, 0.174)
O (0.646, 0.485, 0.495)
O (0.700, 0.392, 0.280)
O (0.702, 0.061, 0.614)
O (0.704, 0.914, 0.060)
O (0.707, 0.245, 0.727)
O (0.708, 0.579, 0.392)
O (0.709, 0.728, 0.949)
O (0.711, 0.411, 0.995)
O (0.713, 0.572, 0.673)
O (0.713, 0.904, 0.339)
O (0.715, 0.075, 0.330)
O (0.724, 0.239, 0.005)
O (0.729, 0.737, 0.660)
O (0.735, 0.714, 0.054)
O (0.739, 0.590, 0.277)
O (0.740, 0.385, 0.384)
O (0.741, 0.050, 0.718)
O (0.742, 0.590, 0.996)
O (0.747, 0.918, 0.947)
O (0.749, 0.260, 0.330)
O (0.750, 0.926, 0.662)
O (0.751, 0.251, 0.614)
O (0.752, 0.731, 0.339)
O (0.755, 0.392, 0.673)
O (0.763, 0.058, 0.004)
O (0.888, 0.254, 0.114)
O (0.889, 0.052, 0.219)
O (0.891, 0.394, 0.174)
O (0.891, 0.730, 0.839)
O (0.892, 0.062, 0.506)
O (0.893, 0.593, 0.496)
O (0.894, 0.259, 0.829)
O (0.894, 0.915, 0.161)
O (0.900, 0.384, 0.884)
O (0.902, 0.918, 0.447)
O (0.905, 0.716, 0.553)
O (0.906, 0.591, 0.774)
O (0.922, 0.737, 0.160)
O (0.923, 0.406, 0.494)
O (0.925, 0.073, 0.827)
O (0.927, 0.572, 0.174)
O (0.930, 0.237, 0.505)
O (0.930, 0.904, 0.839)
O (0.933, 0.575, 0.888)
O (0.935, 0.729, 0.449)
O (0.939, 0.914, 0.561)
O (0.942, 0.392, 0.780)
O (0.943, 0.244, 0.227)
O (0.948, 0.067, 0.107)
O (0.997, 0.496, 0.674)
O (0.998, 0.152, 0.330)
O (0.998, 0.480, 0.995)
O (0.998, 0.813, 0.661)

Total DFT energy (no corrections) (Ry per atom): -0.5488
Size of the total moment (Bohr magnetons per cell): 0.0
Crystal system: triclinic



No. 2
DFT (PBE) results for Na2Zr4Si3S3O24 after structural relaxation.

abc: 9.007 9.031 23.651
angles: 89.27 89.57 60.13
Atoms (fractional coordinates):
Na (0.000, 0.000, 0.000)
Na (0.011, 0.984, 0.506)
Na (0.332, 0.334, 0.334)
Na (0.345, 0.315, 0.840)
Na (0.664, 0.675, 0.671)
Na (0.692, 0.647, 0.161)
Zr (0.001, 0.012, 0.143)
Zr (0.015, 0.010, 0.858)
Zr (0.019, 0.994, 0.354)
Zr (0.028, 0.981, 0.648)
Zr (0.335, 0.339, 0.184)
Zr (0.346, 0.343, 0.485)
Zr (0.350, 0.331, 0.981)
Zr (0.363, 0.316, 0.688)
Zr (0.679, 0.678, 0.819)
Zr (0.681, 0.678, 0.526)
Zr (0.704, 0.649, 0.314)
Zr (0.706, 0.649, 0.021)
Si (0.022, 0.282, 0.251)
Si (0.057, 0.625, 0.084)
Si (0.309, 0.994, 0.752)
Si (0.351, 0.619, 0.586)
Si (0.630, 0.339, 0.085)
Si (0.642, 0.044, 0.584)
Si (0.681, 0.957, 0.920)
Si (0.975, 0.375, 0.917)
Si (0.978, 0.660, 0.419)
S (0.016, 0.704, 0.752)
S (0.058, 0.329, 0.586)
S (0.306, 0.706, 0.252)
S (0.351, 0.038, 0.085)
S (0.392, 0.664, 0.919)
S (0.393, 0.953, 0.418)
S (0.683, 0.372, 0.418)
S (0.723, 0.998, 0.252)
S (0.727, 0.287, 0.751)
O (0.038, 0.168, 0.308)
O (0.038, 0.177, 0.592)
O (0.038, 0.785, 0.802)
O (0.043, 0.810, 0.096)
O (0.135, 0.357, 0.636)
O (0.142, 0.505, 0.141)
O (0.163, 0.303, 0.534)
O (0.163, 0.355, 0.924)
O (0.166, 0.488, 0.424)
O (0.169, 0.533, 0.744)
O (0.175, 0.531, 0.030)
O (0.182, 0.810, 0.591)
O (0.188, 0.018, 0.806)
O (0.191, 0.304, 0.248)
O (0.195, 0.021, 0.093)
O (0.198, 0.787, 0.304)
O (0.211, 0.974, 0.696)
O (0.218, 0.815, 0.911)
O (0.218, 0.970, 0.412)
O (0.227, 0.810, 0.202)
O (0.317, 0.535, 0.530)
O (0.320, 0.144, 0.035)
O (0.323, 0.168, 0.745)
O (0.326, 0.534, 0.248)
O (0.372, 0.124, 0.424)
O (0.372, 0.503, 0.642)
O (0.373, 0.119, 0.137)
O (0.374, 0.510, 0.923)
O (0.468, 0.690, 0.969)
O (0.469, 0.847, 0.469)
O (0.477, 0.690, 0.261)
O (0.496, 0.639, 0.867)
O (0.496, 0.870, 0.367)
O (0.498, 0.822, 0.757)
O (0.500, 0.868, 0.080)
O (0.513, 0.146, 0.925)
O (0.520, 0.127, 0.640)
O (0.522, 0.351, 0.143)
O (0.522, 0.635, 0.575)
O (0.529, 0.352, 0.423)
O (0.545, 0.156, 0.528)
O (0.547, 0.301, 0.030)
O (0.552, 0.305, 0.746)
O (0.554, 0.150, 0.248)
O (0.647, 0.509, 0.080)
O (0.650, 0.869, 0.863)
O (0.656, 0.479, 0.367)
O (0.661, 0.852, 0.578)
O (0.702, 0.844, 0.260)
O (0.704, 0.837, 0.975)
O (0.707, 0.450, 0.469)
O (0.707, 0.458, 0.757)
O (0.803, 0.180, 0.803)
O (0.809, 0.016, 0.304)
O (0.824, 0.167, 0.092)
O (0.829, 0.025, 0.593)
O (0.829, 0.204, 0.700)
O (0.830, 0.966, 0.202)
O (0.836, 0.199, 0.411)
O (0.847, 0.473, 0.259)
O (0.855, 0.687, 0.473)
O (0.855, 0.968, 0.909)
O (0.856, 0.456, 0.973)
O (0.861, 0.686, 0.756)
O (0.866, 0.646, 0.081)
O (0.878, 0.489, 0.861)
O (0.881, 0.638, 0.363)
O (0.886, 0.482, 0.578)
O (0.988, 0.811, 0.700)
O (0.993, 0.190, 0.198)
O (0.994, 0.184, 0.912)
O (0.995, 0.832, 0.410)

Total DFT energy (no corrections) (Ry per atom): -0.5551
Size of the total moment (Bohr magnetons per cell): 0.0
Crystal system: triclinic



| no. | density (g cm⁻³) |
| --- | --- |
| 1 | 3.052 |
| 2 | 2.913 |